Entry 1:
Ta7S12 | Materials Project | PBE | relaxed; symmetry = C2/m, No. 12; formation energy = -1384 meV/atom; V = 364 Å³ per cell
1.0
-4.449 -3.613 0.639
1.849 1.391 -5.282
7.122 -10.544 -1.336
Ta S
7 12
Direct
0.084 0.084 0.748 Ta
0.417 0.750 0.750 Ta
0.750 0.417 0.750 Ta
0.250 0.583 0.250 Ta
0.583 0.250 0.250 Ta
0.916 0.916 0.252 Ta
0.000 0.000 0.000 Ta
0.291 0.291 0.124 S
0.626 0.959 0.124 S
0.959 0.626 0.124 S
0.041 0.374 0.876 S
0.374 0.041 0.876 S
0.709 0.709 0.876 S
0.210 0.210 0.374 S
0.540 0.875 0.374 S
0.875 0.540 0.374 S
0.125 0.460 0.626 S
0.460 0.125 0.626 S
0.790 0.790 0.626 S

Entry 2:
Ag3Hg | Materials Project | PBE | relaxed; symmetry = Pm-3m, No. 221; formation energy = 21 meV/atom; V = 77 Å³ per cell
1.0
-0.392 -1.293 -4.025
-0.637 -3.978 1.339
-4.179 0.727 0.173
Ag Hg
3 1
Direct
0.000 0.500 0.000 Ag
0.500 0.000 0.000 Ag
0.000 0.000 0.500 Ag
0.500 0.500 0.500 Hg

Entry 3:
Ho2TlHg | Materials Project | PBE | relaxed; symmetry = Fm-3m, No. 225; formation energy = -403 meV/atom; V = 105 Å³ per cell
1.0
2.468 1.768 4.342
-1.843 4.268 2.541
-2.290 -0.528 4.749
Ho Tl Hg
2 1 1
Direct
0.250 0.250 0.250 Ho
0.750 0.750 0.750 Ho
0.000 0.000 0.000 Tl
0.500 0.500 0.500 Hg

Entry 4:
ScHO2 | Materials Project | PBE | relaxed; symmetry = P2_1/m, No. 11; formation energy = -2904 meV/atom; V = 73 Å³ per cell
1.0
3.360 0.000 0.000
0.000 4.144 0.000
0.000 1.909 5.275
Sc H O
2 2 4
Direct
0.250 0.664 0.187 Sc
0.750 0.336 0.813 Sc
0.750 0.994 0.403 H
0.250 0.006 0.597 H
0.250 0.232 0.057 O
0.750 0.747 0.434 O
0.250 0.253 0.566 O
0.750 0.768 0.943 O

Entry 5:
NaAlH8N4 | Materials Project | PBE | relaxed; symmetry = P2_1/c, No. 14; formation energy = 115 meV/atom; V = 859 Å³ per cell; energy above the lowest structure with this stoichiometry = 14.92 kJ/mol of atoms
1.0
-4.935 3.626 1.406
-5.460 -5.324 -5.430
-3.908 -9.414 10.561
Na Al H N
4 4 32 16
Direct
0.700 0.200 0.711 Na
0.200 0.800 0.789 Na
0.300 0.800 0.289 Na
0.800 0.200 0.211 Na
0.708 0.764 0.619 Al
0.208 0.236 0.881 Al
0.292 0.236 0.381 Al
0.792 0.764 0.119 Al
0.265 0.489 0.558 H
0.765 0.511 0.942 H
0.735 0.511 0.442 H
0.235 0.489 0.058 H
0.321 0.432 0.535 H
0.821 0.568 0.965 H
0.679 0.568 0.465 H
0.179 0.432 0.035 H
0.656 0.294 0.891 H
0.156 0.706 0.609 H
0.344 0.706 0.109 H
0.844 0.294 0.391 H
0.146 0.166 0.617 H
0.646 0.834 0.883 H
0.854 0.834 0.383 H
0.354 0.166 0.117 H
0.246 0.980 0.586 H
0.746 0.020 0.914 H
0.754 0.020 0.414 H
0.254 0.980 0.086 H
0.217 0.944 0.045 H
0.717 0.056 0.455 H
0.783 0.056 0.955 H
0.283 0.944 0.545 H
0.737 0.309 0.926 H
0.237 0.691 0.574 H
0.263 0.691 0.074 H
0.763 0.309 0.426 H
0.624 0.756 0.897 H
0.124 0.244 0.603 H
0.376 0.244 0.103 H
0.876 0.756 0.397 H
0.499 0.561 0.729 N
0.999 0.439 0.771 N
0.501 0.439 0.271 N
0.001 0.561 0.229 N
0.770 0.952 0.678 N
0.270 0.048 0.822 N
0.230 0.048 0.322 N
0.730 0.952 0.178 N
0.578 0.932 0.682 N
0.078 0.068 0.818 N
0.422 0.068 0.318 N
0.922 0.932 0.182 N
0.022 0.559 0.776 N
0.522 0.441 0.724 N
0.978 0.441 0.224 N
0.478 0.559 0.276 N

Entry 6:
Mn3Os | Materials Project | PBE | relaxed; symmetry = P6_3/mmc, No. 194; formation energy = -5 meV/atom; V = 94 Å³ per cell
1.0
2.572 -4.455 0.000
2.572 4.455 0.000
0.000 0.000 4.097
Mn Os
6 2
Direct
0.838 0.162 0.750 Mn
0.324 0.162 0.750 Mn
0.838 0.676 0.750 Mn
0.162 0.838 0.250 Mn
0.676 0.838 0.250 Mn
0.162 0.324 0.250 Mn
0.667 0.333 0.250 Os
0.333 0.667 0.750 Os

Entry 7:
LiB6O9F | Materials Project | PBE | relaxed; symmetry = Pna2_1, No. 33; formation energy = -2865 meV/atom; V = 747 Å³ per cell
1.0
-6.740 -4.076 0.312
4.064 -6.401 4.166
-2.407 4.716 9.594
Li B O F
4 24 36 4
Direct
0.238 0.301 0.226 Li
0.762 0.699 0.726 Li
0.738 0.199 0.226 Li
0.262 0.801 0.726 Li
0.872 0.397 0.654 B
0.058 0.348 0.487 B
0.594 0.913 0.603 B
0.128 0.603 0.154 B
0.363 0.606 0.313 B
0.942 0.652 0.987 B
0.047 0.842 0.483 B
0.547 0.658 0.483 B
0.637 0.394 0.813 B
0.539 0.404 0.394 B
0.906 0.413 0.103 B
0.558 0.152 0.487 B
0.372 0.103 0.654 B
0.442 0.848 0.987 B
0.953 0.158 0.983 B
0.094 0.587 0.603 B
0.137 0.106 0.813 B
0.453 0.342 0.983 B
0.628 0.897 0.154 B
0.406 0.087 0.103 B
0.039 0.096 0.394 B
0.863 0.894 0.313 B
0.961 0.904 0.894 B
0.461 0.596 0.894 B
0.750 0.338 0.731 O
0.932 0.791 0.396 O
0.633 0.011 0.498 O
0.395 0.494 0.978 O
0.935 0.296 0.568 O
0.068 0.454 0.163 O
0.932 0.546 0.663 O
0.568 0.291 0.896 O
0.432 0.709 0.396 O
0.105 0.994 0.478 O
0.898 0.248 0.076 O
0.565 0.796 0.068 O
0.895 0.006 0.978 O
0.605 0.506 0.478 O
0.750 0.838 0.231 O
0.095 0.248 0.391 O
0.405 0.748 0.891 O
0.867 0.511 0.998 O
0.435 0.204 0.568 O
0.068 0.209 0.896 O
0.065 0.704 0.068 O
0.595 0.252 0.391 O
0.915 0.049 0.312 O
0.085 0.951 0.812 O
0.415 0.451 0.312 O
0.250 0.162 0.731 O
0.585 0.549 0.812 O
0.568 0.046 0.163 O
0.102 0.752 0.576 O
0.398 0.252 0.076 O
0.602 0.748 0.576 O
0.905 0.752 0.891 O
0.133 0.489 0.498 O
0.432 0.954 0.663 O
0.250 0.662 0.231 O
0.367 0.989 0.998 O
0.728 0.928 0.695 F
0.772 0.428 0.195 F
0.228 0.572 0.695 F
0.272 0.072 0.195 F

Entry 8:
Bi4RuBr2 | Materials Project | PBE | relaxed; symmetry = C2/m, No. 12; formation energy = -469 meV/atom; V = 473 Å³ per cell
1.0
6.889 -4.977 2.622
7.197 -3.308 -4.045
10.474 3.303 1.310
Bi Ru Br
8 2 4
Direct
0.445 0.445 0.368 Bi
0.555 0.555 0.632 Bi
0.336 0.336 0.720 Bi
0.664 0.664 0.280 Bi
0.828 0.828 0.569 Bi
0.172 0.172 0.431 Bi
0.086 0.086 0.223 Bi
0.914 0.914 0.777 Bi
0.209 0.791 0.500 Ru
0.791 0.209 0.500 Ru
0.894 0.894 0.243 Br
0.106 0.106 0.757 Br
0.678 0.678 0.930 Br
0.322 0.322 0.070 Br

Entry 9:
Li2Cu3F11 | Materials Project | PBE | relaxed; symmetry = P2_1/m, No. 11; formation energy = -2006 meV/atom; V = 837 Å³ per cell
1.0
-10.505 3.788 -14.447
-4.072 -5.939 1.403
-3.530 3.349 3.935
Li Cu F
8 12 44
Direct
0.072 0.750 0.144 Li
0.126 0.250 0.242 Li
0.373 0.750 0.759 Li
0.427 0.250 0.861 Li
0.573 0.750 0.139 Li
0.627 0.250 0.241 Li
0.874 0.750 0.758 Li
0.928 0.250 0.856 Li
0.061 0.501 0.679 Cu
0.061 0.999 0.679 Cu
0.249 0.500 0.513 Cu
0.249 0.000 0.513 Cu
0.437 0.498 0.334 Cu
0.437 0.002 0.334 Cu
0.563 0.998 0.666 Cu
0.563 0.502 0.666 Cu
0.751 0.000 0.487 Cu
0.751 0.500 0.487 Cu
0.939 0.001 0.321 Cu
0.939 0.499 0.321 Cu
0.032 0.250 0.747 F
0.075 0.958 0.971 F
0.075 0.542 0.971 F
0.078 0.750 0.599 F
0.047 0.051 0.368 F
0.047 0.449 0.368 F
0.162 0.051 0.663 F
0.162 0.449 0.663 F
0.221 0.750 0.469 F
0.199 0.056 0.263 F
0.199 0.444 0.263 F
0.277 0.250 0.558 F
0.300 0.557 0.761 F
0.300 0.943 0.761 F
0.337 0.556 0.366 F
0.337 0.944 0.366 F
0.456 0.556 0.641 F
0.456 0.944 0.641 F
0.417 0.250 0.426 F
0.421 0.047 0.043 F
0.421 0.453 0.043 F
0.466 0.750 0.256 F
0.534 0.250 0.744 F
0.579 0.547 0.957 F
0.579 0.953 0.957 F
0.583 0.750 0.574 F
0.544 0.056 0.359 F
0.544 0.444 0.359 F
0.663 0.056 0.634 F
0.663 0.444 0.634 F
0.700 0.057 0.239 F
0.700 0.443 0.239 F
0.723 0.750 0.442 F
0.801 0.556 0.737 F
0.801 0.944 0.737 F
0.779 0.250 0.531 F
0.838 0.551 0.337 F
0.838 0.949 0.337 F
0.953 0.551 0.632 F
0.953 0.949 0.632 F
0.922 0.250 0.401 F
0.925 0.042 0.029 F
0.925 0.458 0.029 F
0.968 0.750 0.253 F

Entry 10:
NbPt4 | Materials Project | PBE | relaxed; symmetry = R-3m, No. 166; formation energy = -264 meV/atom; V = 81 Å³ per cell
1.0
-2.325 1.436 -11.411
0.112 0.031 -11.733
-2.313 -1.395 -11.419
Nb Pt
1 4
Direct
0.000 0.000 0.000 Nb
0.601 0.601 0.601 Pt
0.200 0.200 0.200 Pt
0.800 0.800 0.800 Pt
0.399 0.399 0.399 Pt

Entry 11:
TbPS | Materials Project | PBE | relaxed; symmetry = Pnma, No. 62; formation energy = -1737 meV/atom; V = 484 Å³ per cell
1.0
5.339 0.000 0.000
0.000 5.399 0.000
0.000 0.000 16.794
Tb P S
8 8 8
Direct
0.250 0.484 0.362 Tb
0.250 0.984 0.138 Tb
0.750 0.516 0.638 Tb
0.750 0.016 0.862 Tb
0.250 0.015 0.646 Tb
0.250 0.515 0.854 Tb
0.750 0.985 0.354 Tb
0.750 0.485 0.146 Tb
0.036 0.296 0.997 P
0.464 0.796 0.503 P
0.536 0.704 0.003 P
0.964 0.204 0.497 P
0.964 0.704 0.003 P
0.536 0.204 0.497 P
0.464 0.296 0.997 P
0.036 0.796 0.503 P
0.250 0.485 0.189 S
0.250 0.985 0.311 S
0.750 0.515 0.811 S
0.750 0.015 0.689 S
0.250 0.012 0.816 S
0.250 0.512 0.684 S
0.750 0.988 0.184 S
0.750 0.488 0.316 S

Entry 12:
Fe4S5 | Materials Project | PBE | relaxed; symmetry = P1, No. 1; formation energy = -726 meV/atom; V = 627 Å³ per cell; energy above the lowest structure with this stoichiometry = 0.05 kJ/mol of atoms
1.0
-0.120 7.887 0.230
0.291 -0.169 10.063
7.889 0.132 -0.390
Fe S
8 10
Direct
0.097 0.996 0.293 Fe
0.205 0.995 0.595 Fe
0.294 0.004 0.900 Fe
0.402 0.006 0.203 Fe
0.903 0.996 0.707 Fe
0.795 0.995 0.404 Fe
0.706 0.004 0.100 Fe
0.598 0.006 0.797 Fe
0.998 0.119 0.503 S
0.201 0.125 0.108 S
0.298 0.876 0.386 S
0.391 0.123 0.704 S
0.502 0.882 0.997 S
0.893 0.874 0.203 S
0.795 0.125 0.899 S
0.705 0.876 0.607 S
0.605 0.124 0.301 S
0.110 0.874 0.791 S